Record 1
! K7Se4NO16 PBE-GGA optimized geometry; values from VASP
! total DFT energy (no corrections): -4.9562 eV/atom
! calculated formation energy: -33.36 kcal/mol of atoms
! theoretical density: 2.79 g/cm3
&SYSTEM
  ibrav = 0, nat = 28, ntyp = 4
/
ATOMIC_SPECIES
K 39.10 K.upf
Se 78.96 Se.upf
N 14.01 N.upf
O 16.00 O.upf
ATOMIC_POSITIONS crystal
K 0.000 0.000 0.000
K 0.013 0.500 0.595
K 0.189 0.000 0.385
K 0.348 0.500 0.880
K 0.504 0.000 0.090
K 0.531 0.500 0.515
K 0.840 0.500 0.216
Se 0.244 0.000 0.723
Se 0.289 0.500 0.223
Se 0.742 0.000 0.374
Se 0.790 0.500 0.882
N 0.679 0.000 0.705
O 0.001 0.500 0.877
O 0.032 0.000 0.718
O 0.213 0.272 0.152
O 0.213 0.728 0.152
O 0.223 0.500 0.372
O 0.309 0.231 0.651
O 0.309 0.769 0.651
O 0.310 0.000 0.872
O 0.500 0.500 0.216
O 0.531 0.000 0.380
O 0.707 0.500 0.737
O 0.719 0.278 0.960
O 0.719 0.722 0.960
O 0.806 0.000 0.224
O 0.821 0.231 0.439
O 0.821 0.769 0.439
CELL_PARAMETERS angstrom
7.918 0.000 0.000
0.000 6.022 0.000
-0.056 0.000 10.715

***

Record 2
! K2TiH2O3F4 PBE-GGA optimized geometry; values from VASP
! total DFT energy (no corrections): -5.5511 eV/atom
! calculated formation energy: -59.80 kcal/mol of atoms
! theoretical density: 2.52 g/cm3
&SYSTEM
  ibrav = 0, nat = 48, ntyp = 5
/
ATOMIC_SPECIES
K 39.10 K.upf
Ti 47.87 Ti.upf
H 1.01 H.upf
O 16.00 O.upf
F 19.00 F.upf
ATOMIC_POSITIONS crystal
K 0.195 0.211 0.288
K 0.195 0.289 0.788
K 0.235 0.586 0.790
K 0.235 0.914 0.290
K 0.765 0.086 0.710
K 0.765 0.414 0.210
K 0.805 0.711 0.212
K 0.805 0.789 0.712
Ti 0.431 0.598 0.366
Ti 0.431 0.902 0.866
Ti 0.569 0.098 0.134
Ti 0.569 0.402 0.634
H 0.051 0.097 0.484
H 0.051 0.403 0.984
H 0.257 0.096 0.690
H 0.257 0.404 0.190
H 0.743 0.596 0.810
H 0.743 0.904 0.310
H 0.949 0.597 0.016
H 0.949 0.903 0.516
O 0.153 0.137 0.588
O 0.153 0.363 0.088
O 0.330 0.718 0.270
O 0.330 0.782 0.770
O 0.337 0.706 0.442
O 0.337 0.794 0.942
O 0.663 0.206 0.058
O 0.663 0.294 0.558
O 0.670 0.218 0.230
O 0.670 0.282 0.730
O 0.847 0.637 0.912
O 0.847 0.863 0.412
F 0.094 0.548 0.237
F 0.094 0.952 0.737
F 0.218 0.125 0.001
F 0.218 0.375 0.501
F 0.464 0.547 0.602
F 0.464 0.953 0.102
F 0.467 0.575 0.155
F 0.467 0.925 0.655
F 0.533 0.075 0.345
F 0.533 0.425 0.845
F 0.536 0.047 0.898
F 0.536 0.453 0.398
F 0.782 0.625 0.499
F 0.782 0.875 0.999
F 0.906 0.048 0.263
F 0.906 0.452 0.763
CELL_PARAMETERS angstrom
6.140 0.000 0.000
0.000 14.523 0.000
-4.286 0.000 7.438

***

Record 3
! ZnSn2O4 PBE-GGA optimized geometry; values from VASP
! total DFT energy (no corrections): -5.4117 eV/atom
! polymorph energy (0 for the lowest one): 12.35 kJ per mole of atoms
! calculated formation energy: -38.08 kcal/mol of atoms
! theoretical density: 6.04 g/cm3
&SYSTEM
  ibrav = 0, nat = 42, ntyp = 3
/
ATOMIC_SPECIES
Zn 65.41 Zn.upf
Sn 118.71 Sn.upf
O 16.00 O.upf
ATOMIC_POSITIONS crystal
Zn 0.000 0.000 0.000
Zn 0.000 0.000 0.235
Zn 0.000 0.000 0.617
Zn 0.333 0.667 0.285
Zn 0.333 0.667 0.903
Zn 0.667 0.333 0.573
Sn 0.008 0.504 0.117
Sn 0.165 0.330 0.451
Sn 0.165 0.835 0.451
Sn 0.330 0.165 0.785
Sn 0.333 0.667 0.667
Sn 0.496 0.504 0.117
Sn 0.496 0.992 0.117
Sn 0.667 0.333 0.327
Sn 0.667 0.333 0.952
Sn 0.670 0.835 0.451
Sn 0.835 0.165 0.785
Sn 0.835 0.670 0.785
O 0.000 0.000 0.373
O 0.000 0.000 0.863
O 0.005 0.502 0.849
O 0.048 0.524 0.377
O 0.138 0.275 0.708
O 0.138 0.862 0.708
O 0.181 0.363 0.198
O 0.181 0.819 0.198
O 0.311 0.156 0.529
O 0.333 0.166 0.049
O 0.333 0.667 0.035
O 0.333 0.667 0.517
O 0.476 0.524 0.377
O 0.476 0.952 0.377
O 0.498 0.502 0.849
O 0.498 0.995 0.849
O 0.637 0.819 0.198
O 0.667 0.333 0.174
O 0.667 0.333 0.708
O 0.725 0.862 0.708
O 0.834 0.166 0.049
O 0.834 0.667 0.049
O 0.844 0.156 0.529
O 0.844 0.689 0.529
CELL_PARAMETERS angstrom
6.603 0.000 0.000
-3.301 5.718 0.000
0.000 0.000 16.033

***

Which value of total DFT energy (no corrections) does entry 2 give?
-5.5511 eV/atom